1.
Computed, not measured: crystalline Ho2RuAu at its relaxed geometry at the GGA-PBE level of DFT.

a = 6.972 Å, b = 6.972 Å, c = 6.972 Å
α = 90.00°, β = 90.00°, γ = 90.00°
Space group Fm-3m (No. 225)
One atom of each set of equivalent atoms:
Ho  0.250  0.250  0.250 x8
Ru  0.000  0.000  0.000 x4
Au  0.000  0.000  0.500 x4

Summary:
- E_form: -0.610 eV per atom

=====

2.
Computed, not measured: crystalline Cs2NbAgSe4 at its relaxed geometry at the GGA-PBE level of DFT.

a = 6.178 Å, b = 14.980 Å, c = 25.961 Å
α = 90.00°, β = 90.00°, γ = 90.00°
Space group Fddd (No. 70, origin choice 2)
One atom of each set of equivalent atoms:
Cs  0.125  0.125  0.304 x16
Nb  0.125  0.125  0.125 x8
Ag  0.125  0.125  0.625 x8
Se  0.094  0.279  0.430 x32

Summary:
- M_tot: 0.00 μB/f.u.
- E_form: -1.198 eV per atom
- MP2020-corrected energy: -4.79 eV/atom

=====

3.
Computed, not measured: crystalline NaLa2Ta2P5SO24 at its relaxed geometry at the GGA-PBE level of DFT.

a = 9.134 Å, b = 9.140 Å, c = 23.729 Å
α = 90.23°, β = 90.02°, γ = 119.87°
Space group P1 (No. 1)
One atom of each set of equivalent atoms:
Na  0.000  0.000  0.000 x1
Na  0.003  0.003  0.497 x1
Na  0.668  0.335  0.668 x1
La  0.003  0.001  0.637 x1
La  0.005  0.994  0.353 x1
La  0.340  0.667  0.972 x1
La  0.666  0.333  0.811 x1
La  0.675  0.340  0.316 x1
La  0.999  0.995  0.147 x1
Ta  0.005  0.011  0.849 x1
Ta  0.329  0.666  0.178 x1
Ta  0.335  0.668  0.480 x1
Ta  0.338  0.669  0.689 x1
Ta  0.660  0.322  0.023 x1
Ta  0.670  0.335  0.522 x1
P  0.020  0.701  0.248 x1
P  0.024  0.302  0.748 x1
P  0.033  0.383  0.080 x1
P  0.049  0.646  0.582 x1
P  0.279  0.981  0.748 x1
P  0.349  0.964  0.081 x1
P  0.357  0.403  0.582 x1
P  0.366  0.302  0.918 x1
P  0.380  0.039  0.425 x1
P  0.601  0.955  0.582 x1
P  0.617  0.648  0.081 x1
P  0.664  0.625  0.426 x1
P  0.701  0.063  0.918 x1
P  0.708  0.727  0.748 x1
P  0.966  0.338  0.426 x1
S  0.303  0.323  0.247 x1
S  0.679  0.980  0.247 x1
S  0.944  0.643  0.918 x1
O  0.028  0.801  0.581 x1
O  0.043  0.204  0.802 x1
O  0.057  0.812  0.301 x1
O  0.117  0.679  0.925 x1
O  0.133  0.502  0.132 x1
O  0.138  0.458  0.028 x1
O  0.138  0.630  0.636 x1
O  0.144  0.495  0.438 x1
O  0.158  0.658  0.531 x1
O  0.165  0.964  0.801 x1
O  0.184  0.692  0.230 x1
O  0.191  0.131  0.906 x1
O  0.195  0.474  0.738 x1
O  0.199  0.252  0.298 x1
O  0.202  0.228  0.581 x1
O  0.203  0.011  0.696 x1
O  0.207  0.026  0.426 x1
O  0.214  0.012  0.090 x1
O  0.225  0.213  0.198 x1
O  0.284  0.811  0.738 x1
O  0.313  0.489  0.234 x1
O  0.318  0.862  0.028 x1
O  0.319  0.434  0.929 x1
O  0.345  0.500  0.531 x1
O  0.356  0.860  0.438 x1
O  0.371  0.868  0.133 x1
O  0.374  0.508  0.636 x1
O  0.460  0.121  0.755 x1
O  0.465  0.281  0.970 x1
O  0.469  0.337  0.865 x1
O  0.475  0.353  0.254 x1
O  0.476  0.103  0.371 x1
O  0.489  0.162  0.475 x1
O  0.497  0.867  0.636 x1
O  0.501  0.629  0.133 x1
O  0.503  0.846  0.531 x1
O  0.508  0.648  0.438 x1
O  0.516  0.821  0.233 x1
O  0.520  0.384  0.575 x1
O  0.524  0.138  0.072 x1
O  0.532  0.721  0.737 x1
O  0.546  0.681  0.029 x1
O  0.564  0.885  0.928 x1
O  0.620  0.137  0.576 x1
O  0.621  0.477  0.070 x1
O  0.629  0.529  0.371 x1
O  0.643  0.118  0.255 x1
O  0.668  0.546  0.756 x1
O  0.672  0.136  0.865 x1
O  0.678  0.515  0.475 x1
O  0.720  0.181  0.970 x1
O  0.753  0.949  0.298 x1
O  0.776  0.975  0.581 x1
O  0.792  0.018  0.198 x1
O  0.799  0.787  0.089 x1
O  0.804  0.843  0.802 x1
O  0.813  0.801  0.696 x1
O  0.824  0.798  0.426 x1
O  0.836  0.555  0.967 x1
O  0.842  0.325  0.476 x1
O  0.860  0.381  0.070 x1
O  0.868  0.484  0.576 x1
O  0.871  0.056  0.907 x1
O  0.878  0.521  0.256 x1
O  0.878  0.546  0.866 x1
O  0.885  0.343  0.756 x1
O  0.903  0.372  0.371 x1
O  0.950  0.812  0.910 x1
O  0.980  0.179  0.426 x1
O  0.985  0.782  0.198 x1
O  0.991  0.192  0.697 x1
O  0.993  0.204  0.090 x1

Summary:
- M_tot: 0.00 μB/f.u.
- E_form: -2.968 eV per atom
- MP2020-corrected energy: -8.25 eV/atom

=====

4.
Computed, not measured: crystalline K2DyF5 at its relaxed geometry at the GGA-PBE level of DFT.

a = 11.059 Å, b = 7.303 Å, c = 6.707 Å
α = 90.00°, β = 90.00°, γ = 90.00°
Space group Pnma (No. 62)
One atom of each set of equivalent atoms:
K  0.172  0.002  0.028 x8
Dy  0.001  0.250  0.564 x4
F  0.013  0.250  0.893 x4
F  0.078  0.534  0.643 x8
F  0.161  0.250  0.368 x4
F  0.190  0.750  0.335 x4

Summary:
- E_form: -3.771 eV per atom
- MP2020-corrected energy: -5.82 eV/atom

=====

5.
Computed, not measured: crystalline Ce17O32 at its relaxed geometry at the GGA-PBE level of DFT.

a = 8.703 Å, b = 8.703 Å, c = 10.307 Å
α = 104.74°, β = 95.06°, γ = 107.37°
Space group P-1 (No. 2)
One atom of each set of equivalent atoms:
Ce  0.000  0.000  0.000 x1
Ce  0.046  0.449  0.170 x2
Ce  0.104  0.950  0.353 x2
Ce  0.173  0.418  0.530 x2
Ce  0.242  0.884  0.701 x2
Ce  0.295  0.355  0.884 x2
Ce  0.360  0.829  0.050 x2
Ce  0.411  0.299  0.235 x2
Ce  0.488  0.766  0.425 x2
O  0.015  0.866  0.541 x2
O  0.049  0.338  0.733 x2
O  0.050  0.609  0.631 x2
O  0.118  0.076  0.805 x2
O  0.138  0.814  0.894 x2
O  0.172  0.564  0.010 x2
O  0.185  0.268  0.074 x2
O  0.217  0.990  0.168 x2
O  0.278  0.513  0.329 x2
O  0.301  0.233  0.421 x2
O  0.329  0.941  0.485 x2
O  0.375  0.695  0.605 x2
O  0.383  0.424  0.690 x2
O  0.452  0.163  0.769 x2
O  0.459  0.896  0.868 x2
O  0.491  0.633  0.955 x2

Summary:
- M_tot: 4.00 μB/f.u.
- E_form: -3.936 eV per atom
- MP2020-corrected energy: -9.23 eV/atom

=====

6.
Computed, not measured: crystalline FeTeAs at its relaxed geometry at the GGA-PBE level of DFT.

a = 6.241 Å, b = 6.122 Å, c = 6.268 Å
α = 90.00°, β = 114.39°, γ = 90.00°
Space group P2_1/c (No. 14)
One atom of each set of equivalent atoms:
Fe  0.216  0.009  0.207 x4
Te  0.347  0.630  0.132 x4
As  0.143  0.150  0.838 x4

Summary:
- E_form: -0.256 eV per atom

=====

7.
Computed, not measured: crystalline In3Ag at its relaxed geometry at the GGA-PBE level of DFT.

a = 4.504 Å, b = 4.504 Å, c = 9.626 Å
α = 90.00°, β = 90.00°, γ = 90.00°
Space group I4/mmm (No. 139)
One atom of each set of equivalent atoms:
In  0.000  0.000  0.000 x2
In  0.000  0.500  0.250 x4
Ag  0.000  0.000  0.500 x2

Summary:
- M_tot: 0.00 μB/f.u.
- E_form: 0.061 eV per atom

=====

8.
Computed, not measured: crystalline Mg16Al12Cl at its relaxed geometry at the GGA-PBE level of DFT.

a = 8.935 Å, b = 9.079 Å, c = 9.086 Å
α = 109.33°, β = 108.15°, γ = 107.50°
Space group P1 (No. 1)
One atom of each set of equivalent atoms:
Mg  0.000  0.000  0.000 x1
Mg  0.001  0.649  0.006 x1
Mg  0.005  0.248  0.329 x1
Mg  0.010  0.657  0.355 x1
Mg  0.290  0.328  0.689 x1
Mg  0.312  0.644  0.603 x1
Mg  0.335  0.249  0.010 x1
Mg  0.352  0.647  0.999 x1
Mg  0.406  0.357  0.410 x1
Mg  0.600  0.653  0.330 x1
Mg  0.602  0.984  0.010 x1
Mg  0.657  0.305  0.690 x1
Mg  0.679  0.938  0.688 x1
Mg  0.695  0.342  0.304 x1
Mg  0.709  0.054  0.410 x1
Mg  0.997  0.959  0.604 x1
Al  0.010  0.276  0.829 x1
Al  0.162  0.809  0.817 x1
Al  0.177  0.012  0.359 x1
Al  0.199  0.470  0.197 x1
Al  0.361  0.010  0.168 x1
Al  0.365  0.824  0.361 x1
Al  0.626  0.656  0.828 x1
Al  0.659  0.495  0.034 x1
Al  0.804  0.641  0.642 x1
Al  0.822  0.847  0.195 x1
Al  0.847  0.306  0.036 x1
Al  0.994  0.454  0.644 x1
Cl  0.428  0.075  0.779 x1

Summary:
- M_tot: 0.00 μB/f.u.
- E_form: -0.049 eV per atom
- MP2020-corrected energy: -2.55 eV/atom
- Distance to the lowest polymorph of the same formula: 0.004 eV/atom

=====

9.
Computed, not measured: crystalline Ba7Al4Sb9 at its relaxed geometry at the GGA-PBE level of DFT.

a = 10.897 Å, b = 18.423 Å, c = 7.334 Å
α = 90.00°, β = 90.00°, γ = 90.00°
Space group Pmmn (No. 59, origin choice 2)
One atom of each set of equivalent atoms:
Ba  0.024  0.126  0.047 x8
Ba  0.250  0.037  0.545 x4
Ba  0.250  0.750  0.587 x2
Al  0.075  0.250  0.560 x4
Al  0.250  0.623  0.241 x4
Sb  0.041  0.619  0.453 x8
Sb  0.250  0.250  0.290 x2
Sb  0.250  0.250  0.831 x2
Sb  0.250  0.509  0.020 x4
Sb  0.250  0.750  0.047 x2

Summary:
- E_form: -0.867 eV per atom
- MP2020-corrected energy: -4.15 eV/atom

=====

10.
Computed, not measured: crystalline TlInCl3 at its relaxed geometry at the GGA-PBE level of DFT.

a = 7.658 Å, b = 7.666 Å, c = 5.412 Å
α = 90.00°, β = 90.05°, γ = 90.00°
Space group Cm (No. 8)
One atom of each set of equivalent atoms:
Tl  0.000  0.000  0.000 x2
In  0.008  0.500  0.477 x2
Cl  0.015  0.500  0.974 x2
Cl  0.258  0.251  0.468 x4

Summary:
- M_tot: 0.00 μB/f.u.
- E_form: -1.317 eV per atom
- MP2020-corrected energy: -3.45 eV/atom

=====

11.
Computed, not measured: crystalline P4S7 at its relaxed geometry at the GGA-PBE level of DFT.

a = 7.503 Å, b = 18.732 Å, c = 11.655 Å
α = 90.00°, β = 123.65°, γ = 90.00°
Space group P2_1/c (No. 14)
One atom of each set of equivalent atoms:
P  0.022  0.046  0.239 x4
P  0.112  0.204  0.151 x4
P  0.388  0.170  0.485 x4
P  0.398  0.124  0.215 x4
S  0.140  0.633  0.394 x4
S  0.160  0.033  0.784 x4
S  0.182  0.082  0.447 x4
S  0.211  0.248  0.843 x4
S  0.254  0.023  0.195 x4
S  0.396  0.642  0.070 x4
S  0.473  0.697  0.823 x4

Summary:
- E_form: -0.499 eV per atom
- MP2020-corrected energy: -5.10 eV/atom